A relaxed structure of Tl3BiI6. Source: the Materials Project, functional PBE.

It has space group P2_1/c (No. 14), with a = 14.016 Å, b = 9.279 Å, c = 13.962 Å, α = 90.00°, β = 104.34° and γ = 90.00°. The inequivalent atoms are Tl at (0.047, 0.159, 0.308), Tl at (0.206, 0.641, 0.985), Tl at (0.350, 0.123, 0.131), Bi at (0.267, 0.504, 0.299), I at (0.102, 0.512, 0.414), I at (0.108, 0.142, 0.620), I at (0.188, 0.693, 0.707), I at (0.316, 0.198, 0.384), I at (0.403, 0.664, 0.469) and I at (0.425, 0.014, 0.682).

As for the energy relative to the elements: -0.820 eV/atom. The value obtained for the uncorrected energy is -2.60 eV/atom.

A relaxed structure of In3Bi. Source: the Materials Project, functional PBE.

It has space group Pm-3m (No. 221), with a = 4.926 Å, b = 4.926 Å, c = 4.926 Å, α = 90.00°, β = 90.00° and γ = 90.00°. The inequivalent atoms are In at (0.000, 0.000, 0.500) and Bi at (0.500, 0.500, 0.500).

As for the energy relative to the elements: 0.038 eV/atom. The value obtained for the uncorrected energy is -3.00 eV/atom.

A relaxed structure of In4Bi. Source: the Materials Project, functional PBE.

It has space group C2/m (No. 12), with a = 5.453 Å, b = 3.555 Å, c = 14.894 Å, α = 90.00°, β = 90.31° and γ = 90.00°. The inequivalent atoms are In at (0.098, 0.000, 0.296), In at (0.201, 0.500, 0.099) and Bi at (0.000, 0.500, 0.500).

As for the energy relative to the elements: 0.069 eV/atom. The value obtained for the uncorrected energy is -2.91 eV/atom.

A relaxed structure of InBi3. Source: the Materials Project, functional PBE.

It has space group C222 (No. 21), with a = 3.303 Å, b = 8.977 Å, c = 8.907 Å, α = 90.00°, β = 90.00° and γ = 90.00°. The inequivalent atoms are In at (0.000, 0.000, 0.000), Bi at (0.000, 0.500, 0.500) and Bi at (0.250, 0.250, 0.247).

As for the energy relative to the elements: 0.066 eV/atom. The value obtained for the uncorrected energy is -3.54 eV/atom.